Run P
RbTiPO5 after structural relaxation, computed with GGA-PBE. Values from VASP.

Quantum ESPRESSO input file:
```
&SYSTEM
  ibrav = 0, nat = 64, ntyp = 4
/
ATOMIC_SPECIES
Rb 85.47 Rb.upf
Ti 47.87 Ti.upf
P 30.97 P.upf
O 16.00 O.upf
CELL_PARAMETERS angstrom
10.311 0.000 0.000
0.000 8.618 0.000
0.000 0.000 9.951
ATOMIC_POSITIONS crystal
Rb 0.060 0.178 0.000
Rb 0.152 0.049 0.710
Rb 0.348 0.549 0.210
Rb 0.440 0.678 0.500
Rb 0.560 0.322 0.000
Rb 0.652 0.451 0.710
Rb 0.848 0.951 0.210
Rb 0.940 0.822 0.500
Ti 0.106 0.686 0.993
Ti 0.151 0.216 0.353
Ti 0.349 0.716 0.853
Ti 0.394 0.186 0.493
Ti 0.606 0.814 0.993
Ti 0.651 0.284 0.353
Ti 0.849 0.784 0.853
Ti 0.894 0.314 0.493
P 0.019 0.509 0.665
P 0.229 0.905 0.322
P 0.271 0.405 0.822
P 0.481 0.009 0.165
P 0.519 0.991 0.665
P 0.729 0.595 0.322
P 0.771 0.095 0.822
P 0.981 0.491 0.165
O 0.012 0.159 0.463
O 0.016 0.505 0.509
O 0.077 0.374 0.244
O 0.088 0.639 0.175
O 0.122 0.405 0.754
O 0.135 0.659 0.646
O 0.137 0.023 0.241
O 0.167 0.731 0.775
O 0.247 0.309 0.489
O 0.247 0.514 0.952
O 0.253 0.014 0.452
O 0.253 0.809 0.989
O 0.333 0.231 0.275
O 0.363 0.523 0.741
O 0.365 0.159 0.146
O 0.378 0.905 0.254
O 0.412 0.139 0.675
O 0.423 0.874 0.744
O 0.484 0.005 0.009
O 0.488 0.659 0.963
O 0.512 0.341 0.463
O 0.516 0.995 0.509
O 0.577 0.126 0.244
O 0.588 0.861 0.175
O 0.622 0.095 0.754
O 0.635 0.841 0.646
O 0.637 0.477 0.241
O 0.667 0.769 0.775
O 0.747 0.191 0.489
O 0.747 0.986 0.952
O 0.753 0.486 0.452
O 0.753 0.691 0.989
O 0.833 0.269 0.275
O 0.863 0.977 0.741
O 0.865 0.341 0.146
O 0.878 0.595 0.254
O 0.912 0.361 0.675
O 0.923 0.626 0.744
O 0.984 0.495 0.009
O 0.988 0.841 0.963
```



Run Q
RbTiPO5 after structural relaxation, computed with GGA-PBE. Values from VASP.

Quantum ESPRESSO input file:
```
&SYSTEM
  ibrav = 0, nat = 64, ntyp = 4
/
ATOMIC_SPECIES
Rb 85.47 Rb.upf
Ti 47.87 Ti.upf
P 30.97 P.upf
O 16.00 O.upf
CELL_PARAMETERS angstrom
13.138 0.000 0.000
0.000 6.595 0.000
0.000 0.000 10.674
ATOMIC_POSITIONS crystal
Rb 0.106 0.193 0.000
Rb 0.117 0.783 0.250
Rb 0.383 0.283 0.750
Rb 0.394 0.693 0.500
Rb 0.606 0.307 0.000
Rb 0.617 0.717 0.250
Rb 0.883 0.217 0.750
Rb 0.894 0.807 0.500
Ti 0.129 0.498 0.571
Ti 0.247 0.763 0.820
Ti 0.253 0.263 0.320
Ti 0.371 0.998 0.071
Ti 0.629 0.002 0.571
Ti 0.747 0.737 0.820
Ti 0.753 0.237 0.320
Ti 0.871 0.502 0.071
P 0.000 0.336 0.315
P 0.000 0.664 0.815
P 0.180 0.003 0.563
P 0.320 0.503 0.063
P 0.500 0.164 0.315
P 0.500 0.836 0.815
P 0.680 0.497 0.563
P 0.820 0.997 0.063
O 0.014 0.481 0.426
O 0.015 0.538 0.692
O 0.095 0.801 0.837
O 0.097 0.204 0.293
O 0.114 0.192 0.592
O 0.114 0.814 0.533
O 0.221 0.457 0.433
O 0.223 0.551 0.685
O 0.249 0.459 0.176
O 0.250 0.044 0.447
O 0.250 0.544 0.947
O 0.251 0.959 0.676
O 0.277 0.051 0.185
O 0.279 0.957 0.933
O 0.386 0.314 0.033
O 0.386 0.692 0.092
O 0.403 0.704 0.793
O 0.405 0.301 0.337
O 0.485 0.038 0.192
O 0.486 0.981 0.926
O 0.514 0.019 0.426
O 0.515 0.962 0.692
O 0.595 0.699 0.837
O 0.597 0.296 0.293
O 0.614 0.308 0.592
O 0.614 0.686 0.533
O 0.721 0.043 0.433
O 0.723 0.949 0.685
O 0.749 0.041 0.176
O 0.750 0.456 0.447
O 0.750 0.956 0.947
O 0.751 0.541 0.676
O 0.777 0.449 0.185
O 0.779 0.543 0.933
O 0.886 0.186 0.033
O 0.886 0.808 0.092
O 0.903 0.796 0.793
O 0.905 0.199 0.337
O 0.985 0.462 0.192
O 0.986 0.519 0.926
```



Which of them is the most stable? Correct choice: run Q.



Run P
SbPO4 after structural relaxation, computed with GGA-PBE. Values from VASP.

Quantum ESPRESSO input file:
```
&SYSTEM
  ibrav = 0, nat = 24, ntyp = 3
/
ATOMIC_SPECIES
Sb 121.76 Sb.upf
P 30.97 P.upf
O 16.00 O.upf
CELL_PARAMETERS angstrom
9.984 0.000 0.000
0.000 7.258 0.000
0.000 0.000 4.787
ATOMIC_POSITIONS crystal
Sb 0.205 0.250 0.109
Sb 0.295 0.750 0.609
Sb 0.705 0.250 0.391
Sb 0.795 0.750 0.891
P 0.097 0.750 0.182
P 0.403 0.250 0.682
P 0.597 0.750 0.318
P 0.903 0.250 0.818
O 0.053 0.250 0.748
O 0.113 0.750 0.861
O 0.176 0.585 0.323
O 0.176 0.915 0.323
O 0.324 0.085 0.823
O 0.324 0.415 0.823
O 0.387 0.250 0.361
O 0.447 0.750 0.248
O 0.553 0.250 0.752
O 0.613 0.750 0.639
O 0.676 0.585 0.177
O 0.676 0.915 0.177
O 0.824 0.085 0.677
O 0.824 0.415 0.677
O 0.887 0.250 0.139
O 0.947 0.750 0.252
```



Run Q
SbPO4 after structural relaxation, computed with GGA-PBE. Values from VASP.

Quantum ESPRESSO input file:
```
&SYSTEM
  ibrav = 0, nat = 12, ntyp = 3
/
ATOMIC_SPECIES
Sb 121.76 Sb.upf
P 30.97 P.upf
O 16.00 O.upf
CELL_PARAMETERS angstrom
4.873 0.000 0.000
0.000 6.885 0.000
-0.609 0.000 5.253
ATOMIC_POSITIONS crystal
Sb 0.191 0.250 0.192
Sb 0.809 0.750 0.808
P 0.276 0.750 0.388
P 0.724 0.250 0.612
O 0.175 0.750 0.660
O 0.176 0.571 0.230
O 0.176 0.929 0.230
O 0.402 0.250 0.555
O 0.598 0.750 0.445
O 0.824 0.071 0.770
O 0.824 0.429 0.770
O 0.825 0.250 0.340
```



Run R
SbPO4 after structural relaxation, computed with GGA-PBE. Values from VASP.

Quantum ESPRESSO input file:
```
&SYSTEM
  ibrav = 0, nat = 48, ntyp = 3
/
ATOMIC_SPECIES
Sb 121.76 Sb.upf
P 30.97 P.upf
O 16.00 O.upf
CELL_PARAMETERS angstrom
9.272 -2.688 0.000
9.272 2.688 0.000
-8.860 0.000 15.835
ATOMIC_POSITIONS crystal
Sb 0.000 0.500 0.000
Sb 0.134 0.652 0.498
Sb 0.225 0.775 0.750
Sb 0.348 0.866 0.002
Sb 0.500 0.000 0.500
Sb 0.652 0.134 0.998
Sb 0.775 0.225 0.250
Sb 0.866 0.348 0.502
P 0.025 0.569 0.639
P 0.207 0.781 0.386
P 0.219 0.793 0.114
P 0.431 0.975 0.861
P 0.569 0.025 0.139
P 0.781 0.207 0.886
P 0.793 0.219 0.614
P 0.975 0.431 0.361
O 0.040 0.788 0.044
O 0.047 0.896 0.303
O 0.048 0.823 0.418
O 0.102 0.538 0.727
O 0.104 0.953 0.197
O 0.120 0.626 0.622
O 0.151 0.307 0.569
O 0.177 0.952 0.082
O 0.212 0.960 0.456
O 0.224 0.275 0.900
O 0.275 0.224 0.400
O 0.307 0.151 0.069
O 0.374 0.880 0.878
O 0.462 0.898 0.773
O 0.489 0.502 0.379
O 0.498 0.511 0.121
O 0.502 0.489 0.879
O 0.511 0.498 0.621
O 0.538 0.102 0.227
O 0.626 0.120 0.122
O 0.693 0.849 0.931
O 0.725 0.776 0.600
O 0.776 0.725 0.100
O 0.788 0.040 0.544
O 0.823 0.048 0.918
O 0.849 0.693 0.431
O 0.880 0.374 0.378
O 0.896 0.047 0.803
O 0.898 0.462 0.273
O 0.952 0.177 0.582
O 0.953 0.104 0.697
O 0.960 0.212 0.956
```



Which of them is the most stable? Correct choice: run Q.